Version A
## RbCr2S4 (PBE)

Data for an optimized crystal structure of RbCr2S4.

a = 16.3208 Å, b = 3.4279 Å, c = 5.6192 Å
α = 90.00°, β = 103.50°, γ = 90.00°
Last column: nearest neighbours and their distance in Å.
Space group C2/m (No. 12)
Unique sites:
Rb 0.0000 0.0000 0.0000 (multiplicity 2)  6 S 3.31-3.41, 2 Rb 3.43
Cr 0.2478 0.5000 0.7055 (multiplicity 4)  6 S 2.26-2.42
S 0.1557 0.0000 0.5243 (multiplicity 4)  3 Cr 2.26-2.35
S 0.1759 0.5000 0.0364 (multiplicity 4)  3 Cr 2.40-2.42

---

Version B
## RbCr2S4 (PBE)

Data for an optimized crystal structure of RbCr2S4.

a = 10.9223 Å, b = 10.9223 Å, c = 10.9223 Å
α = 90.00°, β = 90.00°, γ = 90.00°
Last column: nearest neighbours and their distance in Å.
Space group Fd-3m (No. 227, origin choice 2)
Unique sites:
Rb 0.1250 0.1250 0.1250 (multiplicity 8)  4 S 2.90
Cr 0.0000 0.0000 0.5000 (multiplicity 16)  6 S 2.46
S 0.0284 0.0284 0.7216 (multiplicity 32)  3 Cr 2.46

---

Most favorable structure: version A. The second most favorable one is 234 meV per atom above it.

---

Version A
## RbCr2S4 (PBE)

Data for an optimized crystal structure of RbCr2S4.

a = 6.9474 Å, b = 15.9734 Å, c = 6.0036 Å
α = 90.00°, β = 90.00°, γ = 90.00°
Last column: nearest neighbours and their distance in Å.
Space group Pmmn (No. 59, origin choice 2)
Unique sites:
Rb 0.2500 0.2500 0.0381 (multiplicity 2)  6 S 3.25-3.41
Rb 0.2500 0.7500 0.3415 (multiplicity 2)  6 S 3.30-3.36
Cr 0.0000 0.0000 0.5000 (multiplicity 4)  6 S 2.38-2.41
Cr 0.2500 0.5022 0.9839 (multiplicity 4)  6 S 2.30-2.46
S 0.0002 0.0826 0.8364 (multiplicity 8)  3 Cr 2.37-2.42
S 0.2500 0.0794 0.3319 (multiplicity 4)  3 Cr 2.38-2.46
S 0.2500 0.5840 0.6676 (multiplicity 4)  3 Cr 2.30-2.41

---

Version B
## RbCr2S4 (PBE)

Data for an optimized crystal structure of RbCr2S4.

a = 11.4079 Å, b = 8.3844 Å, c = 12.6573 Å
α = 90.00°, β = 90.00°, γ = 90.00°
Last column: nearest neighbours and their distance in Å.
Space group Pca2_1 (No. 29)
Unique sites:
Rb 0.0464 0.1570 0.0000 (multiplicity 4)  6 S 3.14-3.43, 1 Rb 3.34
Rb 0.1024 0.6247 0.6757 (multiplicity 4)  6 S 3.07-3.38, 1 Rb 3.34
Cr 0.1086 0.7140 0.0140 (multiplicity 4)  5 S 2.29-2.55
Cr 0.1418 0.1574 0.6720 (multiplicity 4)  6 S 2.35-2.57
Cr 0.1514 0.8822 0.2674 (multiplicity 4)  5 S 2.23-2.39
Cr 0.1565 0.3706 0.3599 (multiplicity 4)  4 S 2.32-2.47
S 0.0146 0.9780 0.7580 (multiplicity 4)  2 Cr 2.23-2.36
S 0.0220 0.5217 0.9125 (multiplicity 4)  2 Cr 2.29-2.32
S 0.0351 0.6896 0.1865 (multiplicity 4)  3 Cr 2.33-2.40
S 0.0798 0.1863 0.4959 (multiplicity 4)  3 Cr 2.32-2.47
S 0.2079 0.3566 0.1818 (multiplicity 4)  2 Cr 2.33-2.40
S 0.2209 0.6840 0.3860 (multiplicity 4)  2 Cr 2.38-2.54
S 0.2356 0.9181 0.1100 (multiplicity 4)  1 Cr 2.23
S 0.2483 0.1119 0.8338 (multiplicity 4)  3 Cr 2.39-2.45

---

Version C
## RbCr2S4 (PBE)

Data for an optimized crystal structure of RbCr2S4.

a = 11.7400 Å, b = 3.5883 Å, c = 13.0895 Å
α = 90.00°, β = 90.00°, γ = 90.00°
Last column: nearest neighbours and their distance in Å.
Space group Pnma (No. 62)
Unique sites:
Rb 0.2461 0.2500 0.1643 (multiplicity 4)  8 S 3.12-3.30
Cr 0.0690 0.2500 0.3945 (multiplicity 4)  6 S 2.37-2.56
Cr 0.0732 0.2500 0.8963 (multiplicity 4)  6 S 2.38-2.63
S 0.0180 0.7500 0.7850 (multiplicity 4)  3 Cr 2.40-2.56
S 0.0600 0.2500 0.5751 (multiplicity 4)  3 Cr 2.37-2.38
S 0.1038 0.7500 0.0130 (multiplicity 4)  3 Cr 2.38-2.39
S 0.2045 0.7500 0.3728 (multiplicity 4)  3 Cr 2.41-2.63

---

Version D
## RbCr2S4 (PBE)

Data for an optimized crystal structure of RbCr2S4.

a = 8.2919 Å, b = 8.2919 Å, c = 8.8901 Å
α = 90.00°, β = 90.00°, γ = 90.00°
Last column: nearest neighbours and their distance in Å.
Space group I4_1/amd (No. 141, origin choice 2)
Unique sites:
Rb 0.0000 0.2500 0.3750 (multiplicity 4)  4 S 2.93
Cr 0.0000 0.0000 0.0000 (multiplicity 8)  6 S 2.40-2.50
S 0.0000 0.0811 0.7405 (multiplicity 16)  3 Cr 2.40-2.50

---

Most favorable structure: version A. The second most favorable one is 117 meV per atom above it.

---

Version A
## Sm4CrS7 (PBE)

Data for an optimized crystal structure of Sm4CrS7.

a = 10.0069 Å, b = 6.4839 Å, c = 10.0095 Å
α = 90.00°, β = 119.77°, γ = 90.00°
Last column: nearest neighbours and their distance in Å.
Space group P2_1 (No. 4)
Unique sites:
Sm 0.0001 0.0000 0.0001 (multiplicity 2)  6 S 2.73-2.78
Sm 0.1495 0.1843 0.7499 (multiplicity 2)  5 S 2.71-3.01
Sm 0.2496 0.1847 0.3990 (multiplicity 2)  5 S 2.72-3.01
Sm 0.3989 0.6840 0.1500 (multiplicity 2)  5 S 2.72-3.02
Cr 0.3323 0.6048 0.6672 (multiplicity 2)  4 S 2.33-2.37
S 0.0959 0.4411 0.5146 (multiplicity 2)  1 Cr 2.34
S 0.1063 0.7565 0.8502 (multiplicity 2)  4 Sm 2.73-3.05
S 0.1500 0.7565 0.2554 (multiplicity 2)  4 Sm 2.73-3.06
S 0.2556 0.2566 0.1058 (multiplicity 2)  4 Sm 2.73-3.05
S 0.3336 0.9706 0.6661 (multiplicity 2)  1 Cr 2.37
S 0.4180 0.4410 0.9030 (multiplicity 2)  1 Cr 2.33
S 0.4852 0.4424 0.5825 (multiplicity 2)  1 Cr 2.34

---

Version B
## Sm4CrS7 (PBE)

Data for an optimized crystal structure of Sm4CrS7.

a = 9.7821 Å, b = 9.7821 Å, c = 6.7500 Å
α = 90.00°, β = 90.00°, γ = 120.00°
Last column: nearest neighbours and their distance in Å.
Space group P6_3 (No. 173)
Unique sites:
Sm 0.1507 0.3758 0.0000 (multiplicity 6)  6 S 2.72-3.02
Sm 0.3333 0.6667 0.4521 (multiplicity 2)  4 S 2.62-2.65
Cr 0.0000 0.0000 0.3213 (multiplicity 2)  6 S 2.52-2.70
S 0.0714 0.5623 0.2410 (multiplicity 6)  3 Sm 2.65-2.93
S 0.0983 0.2335 0.5912 (multiplicity 6)  2 Cr 2.52-2.70
S 0.3333 0.6667 0.8399 (multiplicity 2)  4 Sm 2.62-2.72

---

Most favorable structure: version B. The second most favorable one is 70 meV per atom above it.

---

Version A
## VCr2S4 (PBE)

Data for an optimized crystal structure of VCr2S4.

a = 12.4990 Å, b = 3.4231 Å, c = 6.1121 Å
α = 90.00°, β = 118.83°, γ = 90.00°
Last column: nearest neighbours and their distance in Å.
Space group C2/m (No. 12)
Unique sites:
V 0.0000 0.0000 0.0000 (multiplicity 2)  6 S 2.41-2.45
Cr 0.2415 0.5000 0.7243 (multiplicity 4)  6 S 2.36-2.47
S 0.1241 0.0000 0.4472 (multiplicity 4)  3 Cr 2.36-2.37, 1 V 2.41
S 0.1327 0.5000 0.9719 (multiplicity 4)  2 V 2.45, 3 Cr 2.46-2.47

---

Version B
## VCr2S4 (PBE)

Data for an optimized crystal structure of VCr2S4.

a = 12.3864 Å, b = 3.3753 Å, c = 5.8800 Å
α = 90.00°, β = 115.75°, γ = 90.00°
Last column: nearest neighbours and their distance in Å.
Space group Cm (No. 8)
Unique sites:
V 0.0000 0.0000 0.0000 (multiplicity 2)  6 S 2.34-2.56
Cr 0.0202 0.5000 0.6217 (multiplicity 2)  6 S 2.30-2.52
Cr 0.2530 0.0000 0.3056 (multiplicity 2)  6 S 2.39-2.47
S 0.1216 0.5000 0.3317 (multiplicity 2)  3 Cr 2.40-2.52, 2 V 2.52
S 0.1486 0.0000 0.8548 (multiplicity 2)  3 Cr 2.32-2.39, 1 V 2.34
S 0.3704 0.0000 0.7531 (multiplicity 2)  2 Cr 2.30-2.39, 2 V 2.35
S 0.3963 0.5000 0.2942 (multiplicity 2)  4 Cr 2.47-2.52, 1 V 2.56

---

Most favorable structure: version B. The second most favorable one is 8 meV per atom above it.

---

Version A
## Cr10Sb3Te7 (PBE)

Data for an optimized crystal structure of Cr10Sb3Te7.

a = 13.0540 Å, b = 7.0782 Å, c = 10.2615 Å
α = 90.00°, β = 108.95°, γ = 90.00°
Last column: nearest neighbours and their distance in Å.
Space group C2 (No. 5)
Unique sites:
Cr 0.0016 0.9998 0.2495 (multiplicity 4)  2 Sb 2.80-2.81, 4 Te 2.82-2.85, 1 Cr 3.05
Cr 0.0996 0.5038 0.9503 (multiplicity 4)  1 Sb 2.81, 5 Te 2.82-2.84, 2 Cr 3.09-3.14
Cr 0.1020 0.5031 0.4504 (multiplicity 4)  2 Sb 2.80, 4 Te 2.82-2.85, 1 Cr 3.06
Cr 0.1982 0.0000 0.1509 (multiplicity 4)  2 Sb 2.80, 4 Te 2.82-2.85, 2 Cr 3.05-3.14
Cr 0.2008 0.0029 0.6481 (multiplicity 4)  2 Sb 2.80-2.81, 4 Te 2.82-2.84, 1 Cr 3.06
Sb 0.0000 0.8352 0.0000 (multiplicity 2)  6 Cr 2.80-2.81
Sb 0.2001 0.8354 0.4002 (multiplicity 4)  6 Cr 2.80-2.81
Te 0.0000 0.1677 0.5000 (multiplicity 2)  6 Cr 2.82-2.85
Te 0.0999 0.3354 0.2003 (multiplicity 4)  6 Cr 2.82-2.83
Te 0.0997 0.6689 0.6993 (multiplicity 4)  6 Cr 2.82-2.85
Te 0.2005 0.1688 0.8996 (multiplicity 4)  6 Cr 2.82-2.85

---

Version B
## Cr10Sb3Te7 (PBE)

Data for an optimized crystal structure of Cr10Sb3Te7.

a = 7.1670 Å, b = 7.1744 Å, c = 10.1180 Å
α = 89.94°, β = 76.44°, γ = 60.15°
Last column: nearest neighbours and their distance in Å.
Space group P1 (No. 1)
Unique sites:
Cr 0.0000 0.0000 0.0000 (multiplicity 1)  4 Te 2.78-2.83, 2 Sb 2.81, 2 Cr 2.98-3.05
Cr 0.0018 0.9967 0.5002 (multiplicity 1)  5 Te 2.76-2.84, 1 Sb 2.82, 2 Cr 2.92-2.95
Cr 0.1979 0.3981 0.7997 (multiplicity 1)  2 Sb 2.77-2.79, 4 Te 2.83-2.84, 2 Cr 2.89
Cr 0.2026 0.3958 0.3014 (multiplicity 1)  4 Te 2.76-2.84, 2 Sb 2.77-2.78, 2 Cr 2.89-3.02
Cr 0.3974 0.8033 0.6039 (multiplicity 1)  1 Sb 2.79, 5 Te 2.80-2.86, 2 Cr 2.92-2.94
Cr 0.4172 0.7907 0.1043 (multiplicity 1)  4 Te 2.72-2.89, 1 Cr 2.73, 2 Sb 2.74-2.76
Cr 0.5917 0.2075 0.8996 (multiplicity 1)  4 Te 2.76-2.84, 2 Sb 2.77-2.79, 2 Cr 2.89-2.98
Cr 0.6004 0.2007 0.3980 (multiplicity 1)  2 Sb 2.80-2.81, 4 Te 2.81, 2 Cr 2.89-2.95
Cr 0.7947 0.6044 0.1940 (multiplicity 1)  2 Cr 2.73-3.02, 2 Sb 2.80, 4 Te 2.81-2.85
Cr 0.8046 0.6013 0.6986 (multiplicity 1)  4 Te 2.78-2.83, 2 Sb 2.78-2.81, 2 Cr 2.89-2.94
Sb 0.2023 0.2319 0.5510 (multiplicity 1)  6 Cr 2.77-2.82
Sb 0.5956 0.0387 0.1483 (multiplicity 1)  6 Cr 2.74-2.81
Sb 0.7976 0.4313 0.9457 (multiplicity 1)  6 Cr 2.76-2.81
Te 0.9997 0.1709 0.2482 (multiplicity 1)  6 Cr 2.78-2.89
Te 0.2019 0.5651 0.0522 (multiplicity 1)  6 Cr 2.76-2.85
Te 0.3905 0.6351 0.3496 (multiplicity 1)  6 Cr 2.72-2.86
Te 0.4094 0.9618 0.8543 (multiplicity 1)  6 Cr 2.76-2.84
Te 0.6005 0.3670 0.6488 (multiplicity 1)  6 Cr 2.78-2.83
Te 0.7950 0.7675 0.4476 (multiplicity 1)  6 Cr 2.80-2.84
Te 0.9973 0.8366 0.7519 (multiplicity 1)  6 Cr 2.78-2.84

---

Most favorable structure: version A. The second most favorable one is 15 meV per atom above it.

---

Version A
## Cr2SbTe (PBE)

Data for an optimized crystal structure of Cr2SbTe.

a = 4.2389 Å, b = 4.2389 Å, c = 4.8516 Å
α = 90.00°, β = 90.00°, γ = 120.00°
Last column: nearest neighbours and their distance in Å.
Space group P-6m2 (No. 187)
Unique sites:
Cr 0.0000 0.0000 0.2375 (multiplicity 2)  2 Cr 2.30-2.55
Sb 0.6667 0.3333 0.0000 (multiplicity 1)  6 Cr 2.70
Te 0.3333 0.6667 0.5000 (multiplicity 1)  6 Cr 2.76

---

Version B
## Cr2SbTe (PBE)

Data for an optimized crystal structure of Cr2SbTe.

a = 4.1365 Å, b = 4.1365 Å, c = 6.3956 Å
α = 90.00°, β = 90.00°, γ = 120.00°
Last column: nearest neighbours and their distance in Å.
Space group P-6m2 (No. 187)
Unique sites:
Cr 0.0000 0.0000 0.2442 (multiplicity 2)  3 Sb 2.85, 3 Te 2.89, 1 Cr 3.12
Sb 0.6667 0.3333 0.0000 (multiplicity 1)  6 Cr 2.85
Te 0.3333 0.6667 0.5000 (multiplicity 1)  6 Cr 2.89

---

Most favorable structure: version B. The second most favorable one is 176 meV per atom above it.

---

Version A
## TiCr2Se4 (PBE)

Data for an optimized crystal structure of TiCr2Se4.

a = 13.4982 Å, b = 3.6305 Å, c = 6.3975 Å
α = 90.00°, β = 116.45°, γ = 90.00°
Last column: nearest neighbours and their distance in Å.
Space group Cm (No. 8)
Unique sites:
Ti 0.0000 0.0000 0.0000 (multiplicity 2)  6 Se 2.50-2.71
Cr 0.2456 0.5000 0.7139 (multiplicity 2)  6 Se 2.59-2.63
Cr 0.4859 0.0000 0.4288 (multiplicity 2)  6 Se 2.54-2.64
Se 0.1099 0.0000 0.7339 (multiplicity 2)  4 Cr 2.62-2.64, 1 Ti 2.71
Se 0.1260 0.5000 0.2627 (multiplicity 2)  2 Ti 2.54, 2 Cr 2.55-2.61
Se 0.3624 0.5000 0.1634 (multiplicity 2)  1 Ti 2.50, 3 Cr 2.54-2.59
Se 0.3788 0.0000 0.6823 (multiplicity 2)  3 Cr 2.61-2.63, 2 Ti 2.67

---

Version B
## TiCr2Se4 (PBE)

Data for an optimized crystal structure of TiCr2Se4.

a = 13.4779 Å, b = 3.6430 Å, c = 6.5229 Å
α = 90.00°, β = 118.34°, γ = 90.00°
Last column: nearest neighbours and their distance in Å.
Space group C2/m (No. 12)
Unique sites:
Ti 0.0000 0.0000 0.0000 (multiplicity 2)  6 Se 2.58-2.63
Cr 0.2390 0.5000 0.7212 (multiplicity 4)  6 Se 2.51-2.64
Se 0.1242 0.0000 0.4469 (multiplicity 4)  3 Cr 2.51-2.55, 1 Ti 2.58
Se 0.1341 0.5000 0.9727 (multiplicity 4)  3 Cr 2.62-2.64, 2 Ti 2.63

---

Most favorable structure: version B. The second most favorable one is 9 meV per atom above it.